1.
Material: Mg30BiBO32
Method: DFT, PBE-GGA
State: relaxed

a = 8.652 Å, b = 8.652 Å, c = 8.553 Å
α = 90.00°, β = 90.00°, γ = 90.00°
Positions (direct):
Mg 0.749 0.500 0.248
Mg 0.249 0.751 0.000
Bi 0.000 0.000 0.500
Mg 0.249 0.249 0.000
O 0.752 0.248 0.251
B 0.000 0.000 0.000
O 0.730 0.000 0.000
Mg 0.742 0.000 0.242
O 0.254 0.500 0.500
O 0.500 0.746 0.500
Mg 0.258 0.000 0.758
Mg 0.000 0.500 0.500
Mg 0.749 0.500 0.752
Mg 0.255 0.745 0.500
Mg 0.500 0.749 0.752
O 0.752 0.248 0.749
O 0.248 0.752 0.251
Mg 0.500 0.500 0.000
Mg 0.258 0.000 0.242
O 0.500 0.254 0.000
O 0.000 0.729 0.500
Mg 0.251 0.500 0.248
Mg 0.000 0.258 0.242
Mg 0.500 0.000 0.500
Mg 0.251 0.500 0.752
O 0.000 0.000 0.153
O 0.000 0.271 0.500
O 0.752 0.752 0.749
Mg 0.745 0.255 0.500
Mg 0.000 0.742 0.758
Mg 0.255 0.255 0.500
O 0.270 0.000 0.000
O 0.000 0.270 0.000
O 0.500 0.254 0.500
Mg 0.000 0.742 0.242
O 0.000 0.000 0.847
O 0.000 0.500 0.250
Mg 0.751 0.751 0.000
O 0.729 0.000 0.500
Mg 0.751 0.249 0.000
O 0.248 0.752 0.749
O 0.000 0.730 0.000
O 0.500 0.500 0.749
Mg 0.500 0.000 0.000
O 0.500 0.000 0.250
O 0.746 0.500 0.500
O 0.500 0.500 0.251
Mg 0.500 0.500 0.500
O 0.746 0.500 0.000
O 0.752 0.752 0.251
O 0.500 0.000 0.750
Mg 0.500 0.749 0.248
O 0.254 0.500 0.000
Mg 0.500 0.251 0.248
O 0.271 0.000 0.500
O 0.000 0.500 0.750
Mg 0.000 0.500 0.000
Mg 0.742 0.000 0.758
Mg 0.000 0.258 0.758
O 0.248 0.248 0.251
Mg 0.500 0.251 0.752
Mg 0.745 0.745 0.500
O 0.248 0.248 0.749
O 0.500 0.746 0.000

Properties
- space group = P4/mmm, No. 123
- E_form (meV per atom) = -2882

***

2.
Material: Ca2Ga7Au
Method: DFT, PBE-GGA
State: relaxed

a = 4.269 Å, b = 4.269 Å, c = 11.290 Å
α = 90.00°, β = 90.00°, γ = 90.00°
Positions (direct):
Ga 0.000 0.000 0.390
Ca 0.500 0.500 0.500
Ga 0.000 0.500 0.749
Ga 0.500 0.500 0.887
Ga 0.000 0.500 0.251
Ga 0.000 0.000 0.610
Ga 0.500 0.000 0.749
Ga 0.500 0.000 0.251
Ca 0.000 0.000 0.001
Au 0.500 0.500 0.111

Properties
- space group = P4mm, No. 99
- E_form (meV per atom) = -443

***

3.
Material: Na2LaAlP2SO12
Method: DFT, PBE-GGA
State: relaxed

a = 8.954 Å, b = 8.932 Å, c = 22.961 Å
α = 91.36°, β = 88.96°, γ = 120.43°
Positions (direct):
O 0.222 0.934 0.200
O 0.985 0.161 0.294
O 0.148 0.690 0.732
Na 0.666 0.304 0.338
O 0.172 0.178 0.394
O 0.825 0.817 0.925
O 0.819 0.001 0.680
P 0.008 0.315 0.256
O 0.834 0.509 0.727
O 0.844 0.333 0.256
O 0.832 0.797 0.299
La 0.337 0.695 0.027
S 0.317 0.349 0.412
O 0.350 0.492 0.372
P 0.378 0.066 0.582
Al 0.978 0.997 0.346
O 0.445 0.327 0.031
Na 0.692 0.324 0.827
O 0.204 0.014 0.301
O 0.114 0.452 0.979
O 0.487 0.150 0.636
O 0.271 0.390 0.471
O 0.247 0.211 0.798
O 0.488 0.165 0.903
P 0.331 0.978 0.906
O 0.342 0.845 0.273
O 0.523 0.857 0.727
O 0.350 0.883 0.959
P 0.638 0.975 0.417
O 0.681 0.175 0.148
O 0.014 0.179 0.923
Na 0.014 0.974 0.006
O 0.644 0.506 0.908
O 0.814 0.001 0.395
O 0.162 0.458 0.869
O 0.990 0.831 0.398
Na 0.663 0.951 0.589
Na 0.993 0.637 0.263
S 0.939 0.321 0.581
O 0.861 0.348 0.907
O 0.125 0.728 0.469
O 0.491 0.858 0.374
O 0.188 0.176 0.095
Al 0.670 0.329 0.485
O 0.488 0.318 0.729
O 0.825 0.038 0.100
O 0.542 0.659 0.969
Al 0.331 0.669 0.326
P 0.302 0.287 0.736
O 0.842 0.508 0.420
P 0.958 0.628 0.099
Al 0.659 0.356 0.189
O 0.718 0.783 0.198
P 0.676 0.690 0.256
Al 0.657 0.335 0.676
O 0.191 0.036 0.588
Na 0.042 0.997 0.499
O 0.671 0.510 0.632
S 0.980 0.688 0.735
La 0.987 0.004 0.841
Na 0.338 0.638 0.657
O 0.574 0.700 0.863
O 0.872 0.531 0.042
O 0.649 0.153 0.429
O 0.486 0.330 0.142
O 0.699 0.535 0.522
S 0.647 0.672 0.917
O 0.957 0.164 0.580
O 0.685 0.180 0.726
La 0.322 0.670 0.509
O 0.483 0.347 0.416
O 0.305 0.460 0.730
Na 0.689 0.667 0.419
P 0.686 0.622 0.581
O 0.788 0.034 0.790
O 0.362 0.502 0.097
O 0.644 0.097 0.043
O 0.850 0.811 0.587
Na 0.371 0.012 0.742
O 0.511 0.875 0.114
O 0.526 0.647 0.579
Al 0.004 0.987 0.643
La 0.002 0.999 0.173
O 0.484 0.155 0.251
O 0.843 0.326 0.633
O 0.368 0.885 0.578
O 0.322 0.887 0.847
Na 0.363 0.658 0.182
O 0.987 0.807 0.690
La 0.671 0.322 0.984
O 0.114 0.479 0.582
O 0.166 0.494 0.275
O 0.505 0.667 0.280
La 0.341 0.660 0.805
O 0.959 0.746 0.794
P 0.035 0.361 0.920
O 0.666 0.508 0.249
P 0.374 0.335 0.092
P 0.023 0.679 0.412
Na 0.327 0.309 0.922
O 0.844 0.313 0.527
O 0.984 0.811 0.096
O 0.602 0.871 0.475
O 0.171 0.152 0.692
P 0.709 0.020 0.730
Na 0.044 0.339 0.097
O 0.134 0.635 0.104
O 0.851 0.529 0.154
S 0.315 0.991 0.257
O 0.049 0.279 0.193
O 0.471 0.174 0.527
S 0.663 0.046 0.103
O 0.128 0.653 0.362
O 0.168 0.992 0.916

Properties
- space group = P1, No. 1
- E_form (meV per atom) = -2802

***

4.
Material: Sr2La14Mg2Ga14O45
Method: DFT, PBE-GGA
State: relaxed

a = 5.538 Å, b = 5.601 Å, c = 44.877 Å
α = 59.99°, β = 59.49°, γ = 59.99°
Positions (direct):
O 0.232 0.314 0.721
Ga 0.511 0.011 0.999
Ga 0.991 0.488 0.314
Mg 0.992 0.490 0.064
La 0.773 0.253 0.279
O 0.269 0.731 0.648
O 0.249 0.172 0.541
O 0.269 0.731 0.773
Ga 0.521 0.029 0.123
La 0.749 0.255 0.781
Ga 0.998 0.495 0.937
O 0.775 0.827 0.208
O 0.733 0.692 0.155
Ga 0.001 0.501 0.437
O 0.734 0.271 0.103
O 0.731 0.269 0.727
Ga 0.500 0.000 0.750
La 0.750 0.256 0.531
O 0.235 0.305 0.970
O 0.732 0.822 0.960
O 0.751 0.826 0.459
O 0.245 0.315 0.345
O 0.767 0.685 0.529
Ga 0.500 0.000 0.875
O 0.730 0.271 0.852
O 0.234 0.314 0.471
O 0.768 0.686 0.654
O 0.254 0.276 0.095
La 0.248 0.732 0.969
O 0.785 0.707 0.026
O 0.731 0.280 0.975
O 0.249 0.166 0.916
Mg 0.976 0.477 0.191
O 0.230 0.192 0.163
O 0.762 0.828 0.084
O 0.245 0.173 0.416
La 0.251 0.745 0.719
O 0.270 0.733 0.398
O 0.748 0.829 0.834
O 0.731 0.269 0.477
O 0.731 0.269 0.602
Ga 0.517 0.014 0.247
La 0.251 0.745 0.594
Ga 0.000 0.500 0.687
O 0.765 0.685 0.405
La 0.750 0.244 0.033
La 0.771 0.255 0.155
O 0.250 0.172 0.666
O 0.729 0.266 0.354
O 0.249 0.171 0.791
Ga 0.500 0.000 0.500
Sr 0.250 0.756 0.093
O 0.265 0.730 0.899
O 0.232 0.314 0.596
O 0.232 0.314 0.846
Ga 0.500 0.000 0.625
O 0.769 0.827 0.333
La 0.252 0.745 0.469
O 0.720 0.261 0.231
Ga 0.000 0.500 0.813
O 0.269 0.731 0.523
Ga 0.503 0.000 0.375
Sr 0.255 0.754 0.218
O 0.750 0.828 0.709
O 0.733 0.688 0.282
O 0.225 0.176 0.291
La 0.750 0.255 0.656
O 0.254 0.201 0.036
La 0.249 0.744 0.845
La 0.255 0.746 0.344
La 0.745 0.251 0.906
O 0.750 0.828 0.584
O 0.768 0.686 0.779
O 0.242 0.289 0.221
La 0.750 0.254 0.407
O 0.771 0.685 0.903
Ga 0.000 0.500 0.562

Properties
- space group = P1, No. 1
- E_form (meV per atom) = -3023

***

5.
Material: K2Al2Si3O12
Method: DFT, PBE-GGA
State: relaxed

a = 13.504 Å, b = 10.192 Å, c = 10.069 Å
α = 83.60°, β = 48.59°, γ = 47.81°
Positions (direct):
Al 0.586 0.737 0.000
O 0.818 0.627 0.876
Si 0.577 0.513 0.242
O 0.419 0.207 0.025
Al 0.678 0.000 0.737
O 0.239 0.547 0.105
O 0.679 0.876 0.627
K 0.855 0.609 0.114
O 0.452 0.349 0.620
O 0.145 0.142 0.011
O 0.542 0.613 0.119
O 0.816 0.242 0.056
O 0.008 0.434 0.364
O 0.194 0.364 0.434
Al 0.250 0.572 0.664
O 0.225 0.901 0.831
O 0.131 0.523 0.708
O 0.349 0.025 0.207
K 0.422 0.114 0.609
O 0.637 0.708 0.523
Si 0.241 0.259 0.259
Si 0.668 0.242 0.513
O 0.703 0.011 0.142
O 0.630 0.671 0.798
O 0.043 0.831 0.901
K 0.136 0.828 0.395
O 0.108 0.105 0.547
Al 0.513 0.664 0.572
O 0.727 0.119 0.613
Si 0.737 0.673 0.582
O 0.623 0.432 0.571
K 0.641 0.395 0.828
Si 0.991 0.009 0.009
Si 0.008 0.582 0.673
O 0.886 0.056 0.242
O 0.374 0.571 0.432
O 0.579 0.620 0.349
O 0.901 0.798 0.671

Properties
- space group = Fdd2, No. 43
- E_form (meV per atom) = -2627

***

6.
Material: Lu2O3
Method: DFT, PBE-GGA
State: relaxed

a = 3.568 Å, b = 3.568 Å, c = 5.767 Å
α = 90.00°, β = 90.00°, γ = 120.00°
Positions (direct):
O 0.000 0.000 0.000
O 0.333 0.667 0.646
Lu 0.667 0.333 0.749
O 0.667 0.333 0.354
Lu 0.333 0.667 0.251

Properties
- space group = P-3m1, No. 164
- E_form (meV per atom) = -4032

***

7.
Material: Zr4Pd2O
Method: DFT, PBE-GGA
State: relaxed

a = 8.892 Å, b = 8.892 Å, c = 8.892 Å
α = 60.00°, β = 60.00°, γ = 60.00°
Positions (direct):
Zr 0.125 0.125 0.125
Zr 0.319 0.319 0.681
Zr 0.319 0.681 0.681
Zr 0.931 0.931 0.569
Zr 0.681 0.681 0.319
Zr 0.319 0.681 0.319
Pd 0.910 0.910 0.270
Zr 0.681 0.319 0.319
Pd 0.910 0.270 0.910
Zr 0.125 0.125 0.625
Pd 0.340 0.980 0.340
Pd 0.980 0.340 0.340
Zr 0.625 0.125 0.125
Pd 0.340 0.340 0.980
Pd 0.910 0.910 0.910
Zr 0.569 0.569 0.931
Zr 0.681 0.319 0.681
O 0.625 0.625 0.125
Pd 0.270 0.910 0.910
Zr 0.569 0.931 0.569
Zr 0.931 0.569 0.569
Pd 0.340 0.340 0.340
Zr 0.569 0.931 0.931
O 0.625 0.125 0.625
Zr 0.125 0.625 0.125
O 0.625 0.625 0.625
Zr 0.931 0.569 0.931
O 0.125 0.625 0.625

Properties
- space group = Fd-3m, No. 227
- E_form (meV per atom) = -1253

***

8.
Material: SmY3Fe34
Method: DFT, PBE-GGA
State: relaxed

a = 8.268 Å, b = 8.523 Å, c = 8.524 Å
α = 60.00°, β = 90.00°, γ = 90.00°
Positions (direct):
Y 0.750 0.000 0.000
Fe 0.250 0.329 0.632
Fe 0.999 0.499 0.001
Fe 0.750 0.368 0.671
Fe 0.501 0.500 0.500
Fe 0.486 0.834 0.331
Fe 0.014 0.331 0.834
Fe 0.014 0.834 0.834
Fe 0.515 0.166 0.166
Fe 0.750 0.961 0.671
Fe 0.999 0.500 0.500
Fe 0.501 0.001 0.500
Fe 0.607 0.667 0.667
Fe 0.393 0.333 0.333
Fe 0.250 0.631 0.329
Fe 0.250 0.040 0.632
Fe 0.501 0.499 0.001
Y 0.250 0.000 0.000
Fe 0.486 0.331 0.834
Fe 0.515 0.166 0.668
Sm 0.250 0.667 0.667
Fe 0.750 0.671 0.961
Fe 0.014 0.834 0.331
Fe 0.750 0.368 0.961
Fe 0.515 0.668 0.166
Y 0.750 0.333 0.333
Fe 0.486 0.834 0.834
Fe 0.250 0.040 0.329
Fe 0.999 0.001 0.500
Fe 0.250 0.329 0.040
Fe 0.985 0.166 0.668
Fe 0.893 0.667 0.667
Fe 0.985 0.668 0.166
Fe 0.107 0.333 0.333
Fe 0.750 0.961 0.368
Fe 0.750 0.671 0.368
Fe 0.985 0.166 0.166
Fe 0.250 0.632 0.040

Properties
- space group = P-6m2, No. 187
- E_form (meV per atom) = 0

***

9.
Material: CaBi4O8
Method: DFT, PBE-GGA
State: relaxed

a = 8.527 Å, b = 8.527 Å, c = 10.578 Å
α = 54.58°, β = 54.58°, γ = 23.58°
Positions (direct):
O 0.874 0.874 0.626
Bi 0.643 0.643 0.559
Bi 0.131 0.131 0.204
Ca 0.330 0.330 0.202
O 0.249 0.249 0.918
O 0.528 0.528 0.272
Bi 0.355 0.355 0.504
O 0.190 0.190 0.644
O 0.160 0.160 0.386
O 0.818 0.818 0.368
Bi 0.851 0.851 0.850
O 0.798 0.798 0.090
O 0.453 0.453 0.786

Properties
- space group = Cm, No. 8
- E_form (meV per atom) = -1736